# Ba3YRuPtO9 | the Materials Project | PBE | relaxed
# Calculated volume   460.97 Å³ per cell
# Space group   P-3m1 (164)
# Formation enthalpy at 0 K   -2.5269 eV/atom
data_Ba3YRuPtO9
_chemical_formula_sum 'Ba6 Y2 Ru2 Pt2 O18'
_space_group_name_H-M_alt 'P 1'
_space_group_IT_number 1
_cell_length_a 5.962
_cell_length_b 5.962
_cell_length_c 14.975
_cell_angle_alpha 90.00
_cell_angle_beta 90.00
_cell_angle_gamma 120.00
loop_
_space_group_symop_operation_xyz
'x,y,z'
loop_
_atom_site_label
_atom_site_type_symbol
_atom_site_fract_x
_atom_site_fract_y
_atom_site_fract_z
O1 O 0.485 0.970 0.246
Ba1 Ba 0.000 0.000 0.257
O2 O 0.515 0.485 0.754
Pt1 Pt 0.667 0.333 0.663
O3 O 0.175 0.825 0.087
O4 O 0.826 0.653 0.587
O5 O 0.174 0.347 0.413
Ru1 Ru 0.667 0.333 0.843
O6 O 0.825 0.650 0.913
O7 O 0.653 0.826 0.413
O8 O 0.825 0.175 0.913
Ba2 Ba 0.667 0.333 0.410
Ba3 Ba 0.667 0.333 0.099
O9 O 0.650 0.825 0.087
O10 O 0.485 0.515 0.246
Ba4 Ba 0.333 0.667 0.901
O11 O 0.826 0.174 0.587
O12 O 0.350 0.175 0.913
Y1 Y 0.000 0.000 0.000
Ru2 Ru 0.333 0.667 0.157
Ba5 Ba 0.000 0.000 0.743
Y2 Y 0.000 0.000 0.500
O13 O 0.347 0.174 0.587
O14 O 0.970 0.485 0.754
Pt2 Pt 0.333 0.667 0.337
O15 O 0.030 0.515 0.246
O16 O 0.174 0.826 0.413
O17 O 0.515 0.030 0.754
Ba6 Ba 0.333 0.667 0.590
O18 O 0.175 0.350 0.087